First-principles (r²SCAN) data for a relaxed structure of GdSi2Au2, as listed in the Materials Project database.

The value obtained for the volume is 18.560 Å³ per atom. The value obtained for the energy of formation from the pure elements is -58.5 kJ per mole of atoms. Its total magnetization is 13.976 μB per cell.

It has space group I4/mmm (No. 139), with a = 4.2705 Å, b = 4.2705 Å, c = 10.1767 Å, α = 90.00°, β = 90.00° and γ = 90.00°. The asymmetric unit holds Gd at (0.0000, 0.0000, 0.0000), Si at (0.0000, 0.0000, 0.3871) and Au at (0.0000, 0.5000, 0.2500).

***

First-principles (r²SCAN) data for a relaxed structure of HoGeAu, as listed in the Materials Project database.

The value obtained for the volume is 20.544 Å³ per atom. The value obtained for the energy of formation from the pure elements is -88.9 kJ per mole of atoms. Its total magnetization is 0.000 μB per cell.

It has space group P6_3mc (No. 186), with a = 4.4155 Å, b = 4.4155 Å, c = 7.3002 Å, α = 90.00°, β = 90.00° and γ = 120.00°. The asymmetric unit holds Ho at (0.0000, 0.0000, 0.0000), Ge at (0.3333, 0.6667, 0.2932) and Au at (0.3333, 0.6667, 0.7082).

***

First-principles (r²SCAN) data for a relaxed structure of K3Ge4Au, as listed in the Materials Project database.

The value obtained for the volume is 30.403 Å³ per atom. The value obtained for the energy of formation from the pure elements is -30.4 kJ per mole of atoms. Its total magnetization is 0.000 μB per cell.

It has space group Pmmn (No. 59, origin choice 2), with a = 6.6939 Å, b = 11.9125 Å, c = 6.1003 Å, α = 90.00°, β = 90.00° and γ = 90.00°. The asymmetric unit holds K at (0.2500, 0.0142, 0.1658), K at (0.2500, 0.2500, 0.5771), Ge at (0.0461, 0.7500, 0.9432), Ge at (0.2500, 0.6344, 0.6737) and Au at (0.2500, 0.7500, 0.3109).

***

First-principles (r²SCAN) data for a relaxed structure of LaGeAu, as listed in the Materials Project database.

The value obtained for the volume is 23.880 Å³ per atom. The value obtained for the energy of formation from the pure elements is -95.9 kJ per mole of atoms. Its total magnetization is 0.000 μB per cell.

It has space group P6_3mc (No. 186), with a = 4.4872 Å, b = 4.4872 Å, c = 8.2168 Å, α = 90.00°, β = 90.00° and γ = 120.00°. The asymmetric unit holds La at (0.0000, 0.0000, 0.0000), Ge at (0.3333, 0.6667, 0.2717) and Au at (0.3333, 0.6667, 0.7384).

***

First-principles (r²SCAN) data for a relaxed structure of LiGeAu2, as listed in the Materials Project database.

The value obtained for the volume is 16.213 Å³ per atom. The value obtained for the energy of formation from the pure elements is -26.8 kJ per mole of atoms. Its total magnetization is 0.000 μB per cell.

It has space group Fm-3m (No. 225), with a = 6.3776 Å, b = 6.3776 Å, c = 6.3776 Å, α = 90.00°, β = 90.00° and γ = 90.00°. The asymmetric unit holds Li at (0.0000, 0.0000, 0.0000), Ge at (0.0000, 0.0000, 0.5000) and Au at (0.2500, 0.2500, 0.2500).

***

First-principles (r²SCAN) data for a relaxed structure of LuGeAu, as listed in the Materials Project database.

The value obtained for the volume is 19.808 Å³ per atom. The value obtained for the energy of formation from the pure elements is -84.0 kJ per mole of atoms. Its total magnetization is 0.000 μB per cell.

It has space group P6_3mc (No. 186), with a = 4.3863 Å, b = 4.3863 Å, c = 7.1330 Å, α = 90.00°, β = 90.00° and γ = 120.00°. The asymmetric unit holds Lu at (0.0000, 0.0000, 0.0000), Ge at (0.3333, 0.6667, 0.2942) and Au at (0.3333, 0.6667, 0.6987).

***

First-principles (r²SCAN) data for a relaxed structure of NdGe2Au2, as listed in the Materials Project database.

The value obtained for the volume is 20.373 Å³ per atom. The value obtained for the energy of formation from the pure elements is -57.7 kJ per mole of atoms. Its total magnetization is 0.000 μB per cell.

It has space group I4/mmm (No. 139), with a = 4.4102 Å, b = 4.4102 Å, c = 10.4745 Å, α = 90.00°, β = 90.00° and γ = 90.00°. The asymmetric unit holds Nd at (0.0000, 0.0000, 0.0000), Ge at (0.0000, 0.0000, 0.3836) and Au at (0.0000, 0.5000, 0.2500).

***

First-principles (r²SCAN) data for a relaxed structure of Pm2GeAu, as listed in the Materials Project database.

The value obtained for the volume is 24.658 Å³ per atom. The value obtained for the energy of formation from the pure elements is -79.7 kJ per mole of atoms. Its total magnetization is 3.564 μB per cell.

It has space group Fm-3m (No. 225), with a = 7.3343 Å, b = 7.3343 Å, c = 7.3343 Å, α = 90.00°, β = 90.00° and γ = 90.00°. The asymmetric unit holds Pm at (0.2500, 0.2500, 0.2500), Ge at (0.0000, 0.0000, 0.0000) and Au at (0.0000, 0.0000, 0.5000).

***

First-principles (r²SCAN) data for a relaxed structure of PrGeAu, as listed in the Materials Project database.

The value obtained for the volume is 23.118 Å³ per atom. The value obtained for the energy of formation from the pure elements is -90.0 kJ per mole of atoms. Its total magnetization is 0.000 μB per cell.

It has space group P6_3mc (No. 186), with a = 4.4657 Å, b = 4.4657 Å, c = 8.0287 Å, α = 90.00°, β = 90.00° and γ = 120.00°. The asymmetric unit holds Pr at (0.0000, 0.0000, 0.0000), Ge at (0.3333, 0.6667, 0.2233) and Au at (0.3333, 0.6667, 0.7646).

***

First-principles (r²SCAN) data for a relaxed structure of SmGeAu, as listed in the Materials Project database.

The value obtained for the volume is 21.925 Å³ per atom. The value obtained for the energy of formation from the pure elements is -91.1 kJ per mole of atoms. Its total magnetization is 0.000 μB per cell.

It has space group P6_3mc (No. 186), with a = 4.4346 Å, b = 4.4346 Å, c = 7.7240 Å, α = 90.00°, β = 90.00° and γ = 120.00°. The asymmetric unit holds Sm at (0.0000, 0.0000, 0.0000), Ge at (0.3333, 0.6667, 0.2153) and Au at (0.3333, 0.6667, 0.7725).

***

First-principles (r²SCAN) data for a relaxed structure of TbGeAu, as listed in the Materials Project database.

The value obtained for the volume is 20.951 Å³ per atom. The value obtained for the energy of formation from the pure elements is -91.0 kJ per mole of atoms. Its total magnetization is 0.000 μB per cell.

It has space group P6_3mc (No. 186), with a = 4.4262 Å, b = 4.4262 Å, c = 7.4091 Å, α = 90.00°, β = 90.00° and γ = 120.00°. The asymmetric unit holds Tb at (0.0000, 0.0000, 0.0000), Ge at (0.3333, 0.6667, 0.2083) and Au at (0.3333, 0.6667, 0.7840).

***

First-principles (r²SCAN) data for a relaxed structure of TmGeAu, as listed in the Materials Project database.

The value obtained for the volume is 20.111 Å³ per atom. The value obtained for the energy of formation from the pure elements is -87.0 kJ per mole of atoms. Its total magnetization is 0.000 μB per cell.

It has space group P6_3mc (No. 186), with a = 4.3994 Å, b = 4.3994 Å, c = 7.1989 Å, α = 90.00°, β = 90.00° and γ = 120.00°. The asymmetric unit holds Tm at (0.0000, 0.0000, 0.0000), Ge at (0.3333, 0.6667, 0.2941) and Au at (0.3333, 0.6667, 0.7054).